Record 1
# TbCd3, relaxed, DFT GGA-PBE
# - E_tot: -8.53 eV/f.u.
# - Density: 8.52 Mg/m³
# - Formation enthalpy at 0 K: -281.6 meV per atom
data_TbCd3
_chemical_formula_sum 'Tb4 Cd12'
_space_group_name_H-M_alt 'C m c m'
_space_group_IT_number 63
_space_group_name_Hall '-C 2c 2'
_cell_length_a 7.174
_cell_length_b 10.974
_cell_length_c 4.914
_cell_angle_alpha 90.00
_cell_angle_beta 90.00
_cell_angle_gamma 90.00
loop_
_atom_site_label
_atom_site_fract_x
_atom_site_fract_y
_atom_site_fract_z
Tb1 0.000 0.135 0.250
Cd1 0.000 0.324 0.750
Cd2 0.215 0.405 0.250

=====

Record 2
# TbCd3, relaxed, DFT GGA-PBE
# - E_tot: -8.52 eV/f.u.
# - Density: 8.57 Mg/m³
# - Formation enthalpy at 0 K: -278.6 meV per atom
data_TbCd3
_chemical_formula_sum 'Tb2 Cd6'
_space_group_name_H-M_alt 'P 63/m m c'
_space_group_IT_number 194
_space_group_name_Hall '-P 6c 2c'
_cell_length_a 6.6679
_cell_length_b 6.6679
_cell_length_c 4.9953
_cell_angle_alpha 90.00
_cell_angle_beta 90.00
_cell_angle_gamma 120.00
loop_
_atom_site_label
_atom_site_fract_x
_atom_site_fract_y
_atom_site_fract_z
Tb1 0.3333 0.6667 0.2500
Cd1 0.1622 0.3244 0.7500